[1]
Compound: YHfMg14
Source: Materials Project
Functional: PBE
Structure: optimized geometry

Summary:
Its mass density is 2.677 Mg/m³. As for the total energy: -0.174 Ry/atom. The offset from the most stable computed form comes out at 0.021 eV/atom. For the energy of formation from the pure elements, the calculation gives 61 meV/atom.

CIF file:
```
data_YHfMg14
_chemical_formula_sum 'Y1 Hf1 Mg14'
_symmetry_space_group_name_H-M 'P 1'
_symmetry_Int_Tables_number 1
_cell_length_a 6.516
_cell_length_b 6.516
_cell_length_c 10.251
_cell_angle_alpha 90.00
_cell_angle_beta 90.00
_cell_angle_gamma 120.00
loop_
_symmetry_equiv_pos_as_xyz
'x,y,z'
loop_
_atom_site_label
_atom_site_type_symbol
_atom_site_fract_x
_atom_site_fract_y
_atom_site_fract_z
Mg1 Mg 0.333 0.667 0.381
Mg2 Mg 0.833 0.167 0.869
Mg3 Mg 0.333 0.167 0.381
Mg4 Mg 0.833 0.667 0.877
Mg5 Mg 0.833 0.167 0.381
Mg6 Mg 0.173 0.837 0.125
Mg7 Mg 0.333 0.167 0.869
Mg8 Mg 0.833 0.667 0.373
Mg9 Mg 0.333 0.667 0.869
Mg10 Mg 0.169 0.834 0.625
Mg11 Mg 0.663 0.837 0.125
Y1 Y 0.167 0.333 0.125
Mg12 Mg 0.663 0.327 0.125
Hf1 Hf 0.167 0.333 0.625
Mg13 Mg 0.666 0.331 0.625
Mg14 Mg 0.666 0.834 0.625
```


[2]
Compound: YHfMg14
Source: Materials Project
Functional: PBE
Structure: optimized geometry

Summary:
Its mass density is 2.685 Mg/m³. As for the total energy: -0.175 Ry/atom. The offset from the most stable computed form comes out at 0.000 eV/atom. For the energy of formation from the pure elements, the calculation gives 40 meV/atom.

CIF file:
```
data_YHfMg14
_chemical_formula_sum 'Y1 Hf1 Mg14'
_symmetry_space_group_name_H-M 'P 1'
_symmetry_Int_Tables_number 1
_cell_length_a 6.505
_cell_length_b 6.426
_cell_length_c 10.338
_cell_angle_alpha 90.00
_cell_angle_beta 90.00
_cell_angle_gamma 119.60
loop_
_symmetry_equiv_pos_as_xyz
'x,y,z'
loop_
_atom_site_label
_atom_site_type_symbol
_atom_site_fract_x
_atom_site_fract_y
_atom_site_fract_z
Mg1 Mg 0.665 0.833 0.125
Mg2 Mg 0.835 0.668 0.373
Mg3 Mg 0.667 0.334 0.625
Mg4 Mg 0.831 0.165 0.872
Mg5 Mg 0.333 0.670 0.377
Mg6 Mg 0.166 0.833 0.625
Mg7 Mg 0.333 0.163 0.873
Mg8 Mg 0.835 0.668 0.877
Mg9 Mg 0.667 0.833 0.625
Hf1 Hf 0.171 0.836 0.125
Mg10 Mg 0.831 0.165 0.378
Mg11 Mg 0.166 0.333 0.625
Y1 Y 0.168 0.334 0.125
Mg12 Mg 0.333 0.670 0.873
Mg13 Mg 0.333 0.163 0.377
Mg14 Mg 0.665 0.332 0.125
```


[3]
Compound: HfMg14Zn
Source: Materials Project
Functional: PBE
Structure: optimized geometry

Summary:
Its mass density is 2.745 Mg/m³. As for the total energy: -0.152 Ry/atom. For the energy of formation from the pure elements, the calculation gives 34 meV/atom.

CIF file:
```
data_HfMg14Zn
_chemical_formula_sum 'Hf1 Mg14 Zn1'
_symmetry_space_group_name_H-M 'P 1'
_symmetry_Int_Tables_number 1
_cell_length_a 6.363
_cell_length_b 6.363
_cell_length_c 10.081
_cell_angle_alpha 90.00
_cell_angle_beta 90.00
_cell_angle_gamma 120.00
loop_
_symmetry_equiv_pos_as_xyz
'x,y,z'
loop_
_atom_site_label
_atom_site_type_symbol
_atom_site_fract_x
_atom_site_fract_y
_atom_site_fract_z
Mg1 Mg 0.165 0.832 0.125
Mg2 Mg 0.843 0.172 0.372
Mg3 Mg 0.833 0.667 0.871
Zn1 Zn 0.167 0.333 0.125
Mg4 Mg 0.663 0.837 0.625
Mg5 Mg 0.173 0.837 0.625
Mg6 Mg 0.328 0.172 0.372
Mg7 Mg 0.328 0.172 0.878
Mg8 Mg 0.328 0.657 0.372
Mg9 Mg 0.843 0.172 0.878
Hf1 Hf 0.167 0.333 0.625
Mg10 Mg 0.833 0.667 0.379
Mg11 Mg 0.328 0.657 0.878
Mg12 Mg 0.663 0.327 0.625
Mg13 Mg 0.668 0.832 0.125
Mg14 Mg 0.668 0.335 0.125
```


[4]
Compound: HfMg14Zn
Source: Materials Project
Functional: PBE
Structure: optimized geometry

Summary:
Its mass density is 2.744 Mg/m³. As for the total energy: -0.152 Ry/atom. For the energy of formation from the pure elements, the calculation gives 36 meV/atom.

CIF file:
```
data_HfMg14Zn
_chemical_formula_sum 'Hf1 Mg14 Zn1'
_symmetry_space_group_name_H-M 'P 1'
_symmetry_Int_Tables_number 1
_cell_length_a 6.401
_cell_length_b 6.249
_cell_length_c 10.125
_cell_angle_alpha 90.00
_cell_angle_beta 90.00
_cell_angle_gamma 119.22
loop_
_symmetry_equiv_pos_as_xyz
'x,y,z'
loop_
_atom_site_label
_atom_site_type_symbol
_atom_site_fract_x
_atom_site_fract_y
_atom_site_fract_z
Mg1 Mg 0.658 0.334 0.125
Mg2 Mg 0.331 0.164 0.370
Mg3 Mg 0.658 0.824 0.125
Mg4 Mg 0.331 0.667 0.880
Zn1 Zn 0.179 0.340 0.125
Mg5 Mg 0.839 0.670 0.375
Mg6 Mg 0.841 0.170 0.884
Mg7 Mg 0.841 0.170 0.366
Hf1 Hf 0.157 0.829 0.125
Mg8 Mg 0.839 0.670 0.875
Mg9 Mg 0.666 0.331 0.625
Mg10 Mg 0.331 0.667 0.370
Mg11 Mg 0.666 0.835 0.625
Mg12 Mg 0.331 0.164 0.880
Mg13 Mg 0.165 0.333 0.625
Mg14 Mg 0.167 0.834 0.625
```


[5]
Compound: Hf2MnOs
Source: Materials Project
Functional: PBE
Structure: optimized geometry

Summary:
Its mass density is 15.059 Mg/m³. As for the total energy: -0.773 Ry/atom. For the energy of formation from the pure elements, the calculation gives -440 meV/atom.

CIF file:
```
data_Hf2MnOs
_chemical_formula_sum 'Hf2 Mn1 Os1'
_symmetry_space_group_name_H-M 'P 1'
_symmetry_Int_Tables_number 1
_cell_length_a 4.545
_cell_length_b 4.545
_cell_length_c 4.545
_cell_angle_alpha 60.00
_cell_angle_beta 60.00
_cell_angle_gamma 60.00
loop_
_symmetry_equiv_pos_as_xyz
'x,y,z'
loop_
_atom_site_label
_atom_site_type_symbol
_atom_site_fract_x
_atom_site_fract_y
_atom_site_fract_z
Hf1 Hf 0.250 0.250 0.250
Mn1 Mn 0.500 0.500 0.500
Hf2 Hf 0.750 0.750 0.750
Os1 Os 0.000 0.000 0.000
```


[6]
Compound: Hf5MnSb2
Source: Materials Project
Functional: PBE
Structure: optimized geometry

Summary:
Its mass density is 11.769 Mg/m³. As for the total energy: -0.648 Ry/atom. For the energy of formation from the pure elements, the calculation gives -466 meV/atom.

CIF file:
```
data_Hf5MnSb2
_chemical_formula_sum 'Hf10 Mn2 Sb4'
_symmetry_space_group_name_H-M 'P 1'
_symmetry_Int_Tables_number 1
_cell_length_a 5.583
_cell_length_b 8.246
_cell_length_c 8.246
_cell_angle_alpha 83.42
_cell_angle_beta 70.21
_cell_angle_gamma 70.21
loop_
_symmetry_equiv_pos_as_xyz
'x,y,z'
loop_
_atom_site_label
_atom_site_type_symbol
_atom_site_fract_x
_atom_site_fract_y
_atom_site_fract_z
Mn1 Mn 0.250 0.000 0.000
Hf1 Hf 0.930 0.870 0.269
Hf2 Hf 0.301 0.130 0.269
Hf3 Hf 0.750 0.500 0.500
Hf4 Hf 0.699 0.870 0.731
Hf5 Hf 0.570 0.731 0.130
Sb1 Sb 0.336 0.829 0.500
Mn2 Mn 0.750 0.000 0.000
Hf6 Hf 0.199 0.731 0.870
Sb2 Sb 0.164 0.500 0.171
Hf7 Hf 0.430 0.269 0.870
Hf8 Hf 0.250 0.500 0.500
Hf9 Hf 0.070 0.130 0.731
Hf10 Hf 0.801 0.269 0.130
Sb3 Sb 0.664 0.171 0.500
Sb4 Sb 0.836 0.500 0.829
```